CeSb2Se4: optimized geometry, PBE.

Output
DFT formation energy = -0.7922 eV/atom
total moment = 0.14 μB/atom
final energy = -4.55 eV per atom
V = 1054.5 Å³/cell

a = 14.3730 Å, b = 9.2529 Å, c = 8.1062 Å
α = 90.00°, β = 101.99°, γ = 90.00°
Space group C2/m (No. 12)
Symmetry-distinct sites (fractional):
1 Ce 0.1362 0.0000 0.1257 x4
2 Sb 0.0236 0.5000 0.1876 x4
3 Sb 0.2222 0.0000 0.5620 x4
4 Se 0.0414 0.0000 0.7905 x4
5 Se 0.1658 0.3082 0.2247 x8
6 Se 0.1727 0.5000 0.6594 x4